1.
This record from the Materials Project database describes LuRh3 after structural relaxation. The functional is PBE.

The value obtained for the formation enthalpy at 0 K is -13.56 kcal/mol of atoms.

It has space group Pm-3m (No. 221), with a = 4.0115 Å, b = 4.0115 Å, c = 4.0115 Å, α = 90.00°, β = 90.00° and γ = 90.00°. Symmetry generates all atoms from Lu at (0.0000, 0.0000, 0.0000) and Rh at (0.0000, 0.5000, 0.5000).

***

2.
This record from the Materials Project database describes Lu4Rh after structural relaxation. The functional is PBE.

The value obtained for the formation enthalpy at 0 K is 1.58 kcal/mol of atoms.

It has space group Fd-3m (No. 227, origin choice 2), with a = 10.5642 Å, b = 10.5642 Å, c = 10.5642 Å, α = 90.00°, β = 90.00° and γ = 90.00°. Symmetry generates all atoms from Lu at (0.0136, 0.0136, 0.2364) and Rh at (0.1250, 0.1250, 0.6250).

***

3.
This record from the Materials Project database describes LuRh after structural relaxation. The functional is PBE.

The value obtained for the formation enthalpy at 0 K is -23.74 kcal/mol of atoms.

It has space group Pm-3m (No. 221), with a = 3.3573 Å, b = 3.3573 Å, c = 3.3573 Å, α = 90.00°, β = 90.00° and γ = 90.00°. Symmetry generates all atoms from Lu at (0.0000, 0.0000, 0.0000) and Rh at (0.5000, 0.5000, 0.5000).

***

4.
This record from the Materials Project database describes LuSbRh2 after structural relaxation. The functional is PBE.

The value obtained for the formation enthalpy at 0 K is -17.75 kcal/mol of atoms.

It has space group Fm-3m (No. 225), with a = 6.5926 Å, b = 6.5926 Å, c = 6.5926 Å, α = 90.00°, β = 90.00° and γ = 90.00°. Symmetry generates all atoms from Lu at (0.0000, 0.0000, 0.0000), Sb at (0.0000, 0.0000, 0.5000) and Rh at (0.2500, 0.2500, 0.2500).

***

5.
This record from the Materials Project database describes LuScRh2 after structural relaxation. The functional is PBE.

The value obtained for the formation enthalpy at 0 K is -23.18 kcal/mol of atoms.

It has space group Fm-3m (No. 225), with a = 6.5964 Å, b = 6.5964 Å, c = 6.5964 Å, α = 90.00°, β = 90.00° and γ = 90.00°. Symmetry generates all atoms from Lu at (0.0000, 0.0000, 0.0000), Sc at (0.0000, 0.0000, 0.5000) and Rh at (0.2500, 0.2500, 0.2500).

***

6.
This record from the Materials Project database describes TbLuRh2 after structural relaxation. The functional is PBE.

The value obtained for the formation enthalpy at 0 K is -21.31 kcal/mol of atoms.

It has space group Fm-3m (No. 225), with a = 6.8076 Å, b = 6.8076 Å, c = 6.8076 Å, α = 90.00°, β = 90.00° and γ = 90.00°. Symmetry generates all atoms from Tb at (0.0000, 0.0000, 0.0000), Lu at (0.0000, 0.0000, 0.5000) and Rh at (0.2500, 0.2500, 0.2500).

***

7.
This record from the Materials Project database describes TmLuRh2 after structural relaxation. The functional is PBE.

The value obtained for the formation enthalpy at 0 K is -22.96 kcal/mol of atoms.

It has space group Fm-3m (No. 225), with a = 6.7527 Å, b = 6.7527 Å, c = 6.7527 Å, α = 90.00°, β = 90.00° and γ = 90.00°. Symmetry generates all atoms from Tm at (0.0000, 0.0000, 0.0000), Lu at (0.0000, 0.0000, 0.5000) and Rh at (0.2500, 0.2500, 0.2500).

***

8.
This record from the Materials Project database describes LuZnRh2 after structural relaxation. The functional is PBE.

The value obtained for the formation enthalpy at 0 K is -17.23 kcal/mol of atoms.

It has space group Fm-3m (No. 225), with a = 6.3888 Å, b = 6.3888 Å, c = 6.3888 Å, α = 90.00°, β = 90.00° and γ = 90.00°. Symmetry generates all atoms from Lu at (0.0000, 0.0000, 0.0000), Zn at (0.0000, 0.0000, 0.5000) and Rh at (0.2500, 0.2500, 0.2500).

***

9.
This record from the Materials Project database describes Lu3Ru2 after structural relaxation. The functional is PBE.

The value obtained for the formation enthalpy at 0 K is -7.98 kcal/mol of atoms.

It has space group P6_3/m (No. 176), with a = 7.4891 Å, b = 7.4891 Å, c = 4.6305 Å, α = 90.00°, β = 90.00° and γ = 120.00°. Symmetry generates all atoms from Lu at (0.0852, 0.3876, 0.2500), Ru at (0.0000, 0.0000, 0.0000) and Ru at (0.3333, 0.6667, 0.7500).

***

10.
This record from the Materials Project database describes Lu5Ru2 after structural relaxation. The functional is PBE.

The value obtained for the formation enthalpy at 0 K is -9.96 kcal/mol of atoms.

It has space group C2/c (No. 15), with a = 15.3963 Å, b = 6.1747 Å, c = 7.1872 Å, α = 90.00°, β = 97.55° and γ = 90.00°. Symmetry generates all atoms from Lu at (0.0000, 0.0805, 0.2500), Lu at (0.0941, 0.3855, 0.9166), Lu at (0.2167, 0.0857, 0.3123) and Ru at (0.1102, 0.2109, 0.5777).

***

11.
This record from the Materials Project database describes LuRu after structural relaxation. The functional is PBE.

The value obtained for the formation enthalpy at 0 K is -10.81 kcal/mol of atoms.

It has space group Pm-3m (No. 221), with a = 3.3327 Å, b = 3.3327 Å, c = 3.3327 Å, α = 90.00°, β = 90.00° and γ = 90.00°. Symmetry generates all atoms from Lu at (0.0000, 0.0000, 0.0000) and Ru at (0.5000, 0.5000, 0.5000).

***

12.
This record from the Materials Project database describes LuRu3 after structural relaxation. The functional is PBE.

The value obtained for the formation enthalpy at 0 K is 1.26 kcal/mol of atoms.

It has space group Pm-3m (No. 221), with a = 4.0119 Å, b = 4.0119 Å, c = 4.0119 Å, α = 90.00°, β = 90.00° and γ = 90.00°. Symmetry generates all atoms from Lu at (0.0000, 0.0000, 0.0000) and Ru at (0.0000, 0.5000, 0.5000).

***

13.
This record from the Materials Project database describes LuRu3 after structural relaxation. The functional is PBE.

The value obtained for the formation enthalpy at 0 K is 1.31 kcal/mol of atoms.

It has space group I4/mmm (No. 139), with a = 3.9668 Å, b = 3.9668 Å, c = 8.1542 Å, α = 90.00°, β = 90.00° and γ = 90.00°. Symmetry generates all atoms from Lu at (0.0000, 0.0000, 0.0000), Ru at (0.0000, 0.0000, 0.5000) and Ru at (0.0000, 0.5000, 0.2500).